# Te7O6F30 GGA-PBE relaxed
# - calculated density (g/cm3) = 3.83
# - raw total energy (Ry/atom) = -0.3163
# - SG = P-1, No. 2
# - ΔE_f (meV per atom) = -2183
data_Te7O6F30
_chemical_formula_sum 'Te7 O6 F30'
_cell_length_a 9.1033
_cell_length_b 9.3129
_cell_length_c 9.3509
_cell_angle_alpha 115.44
_cell_angle_beta 100.23
_cell_angle_gamma 99.90
_symmetry_space_group_name_H-M 'P 1'
_symmetry_Int_Tables_number 1
loop_
_symmetry_equiv_pos_as_xyz
'x,y,z'
loop_
_atom_site_label
_atom_site_fract_x
_atom_site_fract_y
_atom_site_fract_z
Te1 0.0000 0.0000 0.0000
Te2 0.2262 0.7578 0.7609
Te3 0.2417 0.0750 0.3928
Te4 0.2487 0.3942 0.0844
Te5 0.7513 0.6058 0.9156
Te6 0.7583 0.9250 0.6072
Te7 0.7738 0.2422 0.2391
O1 0.0592 0.2201 0.0168
O2 0.1163 0.9251 0.8377
O3 0.1885 0.0542 0.1729
O4 0.8115 0.9458 0.8271
O5 0.8837 0.0749 0.1623
O6 0.9408 0.7799 0.9832
F1 0.0456 0.5851 0.6860
F2 0.0562 0.9212 0.3499
F3 0.1312 0.5452 0.1403
F4 0.1505 0.2476 0.4756
F5 0.1800 0.7561 0.5575
F6 0.2054 0.3701 0.8712
F7 0.2752 0.7559 0.9628
F8 0.2969 0.4271 0.3010
F9 0.3037 0.0994 0.6050
F10 0.3340 0.6011 0.6799
F11 0.3371 0.9049 0.3192
F12 0.3697 0.2461 0.0289
F13 0.4093 0.9251 0.8303
F14 0.4246 0.5677 0.1472
F15 0.4288 0.2273 0.4386
F16 0.5712 0.7727 0.5614
F17 0.5754 0.4323 0.8528
F18 0.5907 0.0749 0.1697
F19 0.6303 0.7539 0.9711
F20 0.6629 0.0951 0.6808
F21 0.6660 0.3989 0.3201
F22 0.6963 0.9006 0.3950
F23 0.7031 0.5729 0.6990
F24 0.7248 0.2441 0.0372
F25 0.7946 0.6299 0.1288
F26 0.8200 0.2439 0.4425
F27 0.8495 0.7524 0.5244
F28 0.8688 0.4548 0.8597
F29 0.9438 0.0788 0.6501
F30 0.9544 0.4149 0.3140